Entry from the Materials Project: a geometry-optimized Li9Mn7O16 structure (GGA+U).

a b c (Å): 5.833 6.013 10.107
angles (deg): 87.16 73.35 61.62
Space group P-1 (No. 2)
One atom of each set of equivalent atoms:
Li (0.000, 0.000, 0.000) x1
Li (0.000, 0.000, 0.500) x1
Li (0.000, 0.500, 0.000) x1
Li (0.005, 0.745, 0.751) x2
Li (0.495, 0.256, 0.754) x2
Li (0.500, 0.000, 0.000) x1
Li (0.500, 0.500, 0.500) x1
Mn (0.000, 0.500, 0.500) x1
Mn (0.005, 0.745, 0.245) x2
Mn (0.488, 0.763, 0.755) x2
Mn (0.500, 0.000, 0.500) x1
Mn (0.500, 0.500, 0.000) x1
O (0.222, 0.384, 0.626) x2
O (0.240, 0.609, 0.370) x2
O (0.246, 0.115, 0.862) x2
O (0.267, 0.824, 0.117) x2
O (0.270, 0.869, 0.622) x2
O (0.275, 0.624, 0.874) x2
O (0.278, 0.117, 0.372) x2
O (0.282, 0.359, 0.117) x2

Summary:
E_tot, eV/atom: -6.44